# 1
Compound: TmTlO3
Source: Materials Project
Functional: PBE-GGA
Structure: optimized geometry

- energy (eV/cell) = -128.683
- M_tot (μB per formula unit) = 0.000

Cell: 5.8409 8.4903 5.7410 Å, 90.00 90.00 90.00°
Space group Pnma (No. 62)
Unique sites:
Tm 0.0000 0.0000 0.0000
Tl 0.0470 0.2500 0.4852
O 0.0921 0.7500 0.1254
O 0.1787 0.5725 0.6745

---

# 2
Compound: Cr4Te3N2
Source: Materials Project
Functional: PBE-GGA
Structure: optimized geometry

- energy (eV/cell) = -263.691
- M_tot (μB per formula unit) = 12.000

Cell: 6.4953 10.6463 9.8496 Å, 90.00 90.00 90.00°
Space group Pnma (No. 62)
Unique sites:
Cr 0.0879 0.2500 0.1201
Cr 0.1904 0.0256 0.9328
Cr 0.1971 0.7500 0.0868
Te 0.0758 0.5703 0.6754
Te 0.1131 0.7500 0.3520
N 0.0491 0.6231 0.0020

---

# 3
Compound: SmAu
Source: Materials Project
Functional: PBE-GGA
Structure: optimized geometry

- energy (eV/cell) = -38.638

Cell: 7.4563 4.7645 5.7771 Å, 90.00 90.00 90.00°
Space group Pnma (No. 62)
Unique sites:
Sm 0.1876 0.2500 0.1494
Au 0.0424 0.2500 0.6558

---

# 4
Compound: KNa2AlH6
Source: Materials Project
Functional: PBE-GGA
Structure: optimized geometry

- relative energy among the computed polymorphs (eV/f.u.) = 1.25
- M_tot (μB per formula unit) = 0.001

Cell: 6.9182 4.6358 11.3041 Å, 90.00 94.20 90.00°
Space group P2_1 (No. 4)
Unique sites:
K 0.1332 0.0000 0.2889
Na 0.3336 0.9232 0.7132
Na 0.3439 0.3463 0.9447
Al 0.4043 0.5002 0.4964
H 0.0156 0.8502 0.9157
H 0.0248 0.2336 0.0451
H 0.1340 0.1647 0.8148
H 0.2393 0.5161 0.5974
H 0.2647 0.5046 0.3692
H 0.4840 0.2251 0.1221